[1]
! TbHg2, relaxed, DFT meta-GGA r2SCAN; values from VASP
&SYSTEM
  ibrav = 0, nat = 3, ntyp = 2
/
ATOMIC_SPECIES
Hg 200.59 Hg.upf
Tb 158.93 Tb.upf
CELL_PARAMETERS angstrom
-2.517 2.918 -3.017
-2.016 -4.145 1.642
-1.290 1.708 2.728
ATOMIC_POSITIONS crystal
Hg 0.667 0.333 0.495
Tb 0.000 0.000 0.000
Hg 0.333 0.667 0.505
! SG: P-3m1, No. 164
! Formation enthalpy at 0 K (meV/atom): -483

---

[2]
! K6ZnBi5, relaxed, DFT meta-GGA r2SCAN; values from VASP
&SYSTEM
  ibrav = 0, nat = 24, ntyp = 3
/
ATOMIC_SPECIES
K 39.10 K.upf
Bi 208.98 Bi.upf
Zn 65.41 Zn.upf
CELL_PARAMETERS angstrom
0.000 5.543 0.000
0.000 0.000 11.597
15.380 0.000 0.000
ATOMIC_POSITIONS crystal
K 0.250 0.939 0.382
Bi 0.750 0.418 0.349
Bi 0.750 0.170 0.397
K 0.750 0.686 0.018
Bi 0.250 0.830 0.897
Bi 0.250 0.582 0.651
K 0.250 0.314 0.982
Bi 0.250 0.830 0.603
Zn 0.250 0.961 0.750
K 0.750 0.061 0.618
K 0.250 0.939 0.118
K 0.750 0.391 0.750
Bi 0.250 0.191 0.750
K 0.250 0.314 0.518
K 0.250 0.609 0.250
Bi 0.750 0.809 0.250
Bi 0.750 0.170 0.103
K 0.750 0.746 0.750
Zn 0.750 0.039 0.250
K 0.250 0.254 0.250
Bi 0.250 0.582 0.849
K 0.750 0.686 0.482
Bi 0.750 0.418 0.151
K 0.750 0.061 0.882
! SG: Pmmn, No. 59
! Formation enthalpy at 0 K (meV/atom): -473

---

[3]
! MgAg, relaxed, DFT meta-GGA r2SCAN; values from VASP
&SYSTEM
  ibrav = 0, nat = 2, ntyp = 2
/
ATOMIC_SPECIES
Ag 107.87 Ag.upf
Mg 24.30 Mg.upf
CELL_PARAMETERS angstrom
-1.175 -2.932 0.968
-0.120 -0.992 -3.149
3.086 -1.155 0.246
ATOMIC_POSITIONS crystal
Ag 0.000 0.000 0.000
Mg 0.500 0.500 0.500
! SG: Pm-3m, No. 221
! Formation enthalpy at 0 K (meV/atom): -203

---

[4]
! Mn3Se3O10, relaxed, DFT meta-GGA r2SCAN; values from VASP
&SYSTEM
  ibrav = 0, nat = 32, ntyp = 3
/
ATOMIC_SPECIES
O 16.00 O.upf
Se 78.96 Se.upf
Mn 54.94 Mn.upf
CELL_PARAMETERS angstrom
-6.430 0.384 -5.539
-1.280 -3.300 -7.723
-5.770 -7.759 -0.519
ATOMIC_POSITIONS crystal
O 0.249 0.249 0.331
Se 0.889 0.889 0.170
O 0.052 0.650 0.784
O 0.402 0.804 0.590
O 0.332 0.940 0.920
O 0.940 0.332 0.920
Se 0.529 0.529 0.665
O 0.948 0.350 0.216
Se 0.471 0.471 0.335
O 0.060 0.668 0.080
Se 0.111 0.111 0.830
Mn 0.500 0.000 0.500
O 0.196 0.598 0.410
O 0.217 0.217 0.650
Mn 0.382 0.382 0.086
Mn 0.500 0.000 0.000
O 0.668 0.060 0.080
O 0.751 0.751 0.669
O 0.783 0.783 0.350
Se 0.136 0.136 0.331
O 0.306 0.306 0.984
Mn 0.618 0.618 0.914
O 0.350 0.948 0.216
O 0.804 0.402 0.590
O 0.650 0.052 0.784
O 0.515 0.515 0.858
O 0.598 0.196 0.410
Mn 0.000 0.500 0.500
Mn 0.000 0.500 0.000
Se 0.864 0.864 0.669
O 0.694 0.694 0.016
O 0.485 0.485 0.142
! SG: C2/m, No. 12
! Formation enthalpy at 0 K (meV/atom): -1432

---

Copy entry 3 word for word.
! MgAg, relaxed, DFT meta-GGA r2SCAN; values from VASP
&SYSTEM
  ibrav = 0, nat = 2, ntyp = 2
/
ATOMIC_SPECIES
Ag 107.87 Ag.upf
Mg 24.30 Mg.upf
CELL_PARAMETERS angstrom
-1.175 -2.932 0.968
-0.120 -0.992 -3.149
3.086 -1.155 0.246
ATOMIC_POSITIONS crystal
Ag 0.000 0.000 0.000
Mg 0.500 0.500 0.500
! SG: Pm-3m, No. 221
! Formation enthalpy at 0 K (meV/atom): -203

---

> Look up the formation enthalpy at 0 K of the fourth one.

-1432 meV/atom